[1]
The following is a DFT calculation (meta-GGA r2SCAN) of crystalline S7N at its relaxed geometry.

extended XYZ file:
```
32
Lattice="8.1945 0.0000 0.0000 0.0000 7.7924 0.0000 0.0000 0.0000 13.0897" Properties=species:S:1:pos:R:3 pbc="T T T"
S 0.0964 5.7816 5.3338
S 6.3888 0.9691 3.2724
S 1.2516 3.5226 8.1664
S 2.8456 7.4188 11.4681
S 0.0964 5.7816 1.2110
S 2.8456 7.4188 8.1664
S 2.1103 1.2655 1.7681
S 1.9869 5.1617 1.7681
S 6.2075 2.6307 8.3130
S 4.0008 1.8854 1.2110
S 4.1937 5.9071 7.7559
S 4.1937 5.9071 11.8787
S 2.1103 1.2655 4.7767
S 6.0842 6.5269 8.3130
S 6.2075 2.6307 11.3216
S 5.3489 0.3736 4.9233
S 1.8057 6.8233 9.8173
S 6.9428 4.2698 1.6216
S 1.2516 3.5226 11.4681
S 5.3489 0.3736 1.6216
S 6.9428 4.2698 4.9233
S 6.0842 6.5269 11.3216
S 4.0008 1.8854 5.3338
S 2.2915 2.9271 9.8173
S 8.0980 2.0109 11.8787
S 5.9029 4.8653 3.2724
S 8.0980 2.0109 7.7559
S 1.9869 5.1617 4.7767
N 5.7586 2.3191 9.8173
N 6.5331 6.2154 9.8173
N 1.6614 1.5771 3.2724
N 2.4359 5.4733 3.2724
```

For the total energy, the calculation gives -7.942 eV/atom. For the density, the calculation gives 1.89 g/cm³. The magnetization is 1.00 μB per formula unit.

[2]
The following is a DFT calculation (meta-GGA r2SCAN) of crystalline V3Pd at its relaxed geometry.

extended XYZ file:
```
8
Lattice="-0.0182 -4.5179 -1.6457 4.5313 -0.5589 1.5084 -1.6168 -1.5367 4.2609" Properties=species:S:1:pos:R:3 pbc="T T T"
Pd 1.4481 -3.3068 2.0619
Pd -1.6349 -6.0546 2.6151
V 1.8578 -0.6668 1.8168
V -0.8073 -1.8964 1.7167
V 1.1228 -2.3961 -0.4402
V 3.7036 -4.7171 2.4069
V 1.0386 -5.9467 2.3068
V 1.7735 -4.2174 4.5638
```

For the total energy, the calculation gives -16.461 eV/atom. For the density, the calculation gives 7.74 g/cm³. The magnetization is 0.00 μB per formula unit.

[3]
The following is a DFT calculation (meta-GGA r2SCAN) of crystalline Rb3PO4 at its relaxed geometry.

extended XYZ file:
```
32
Lattice="6.1698 0.0000 0.0000 0.0000 8.4335 0.0000 0.0000 0.0000 11.6846" Properties=species:S:1:pos:R:3 pbc="T T T"
O 3.9245 3.3814 4.5697
O 0.3678 6.3251 5.9932
O 5.3302 3.3814 10.4119
O 3.6386 2.1084 9.0233
O 0.5537 6.3251 8.5035
O 5.8020 2.1084 5.6914
O 2.5312 6.3251 2.6612
O 2.2453 5.0520 7.1149
O 0.8396 5.0520 1.2726
O 5.6161 2.1084 3.1810
O 0.8396 7.5982 1.2726
O 2.7171 6.3251 0.1509
O 3.9245 0.8353 4.5697
O 2.2453 7.5982 7.1149
O 3.4527 2.1084 11.5336
O 5.3302 0.8353 10.4119
Rb 0.8560 2.1084 0.8456
Rb 1.1788 4.2801 4.1654
Rb 1.9061 4.2801 10.0077
Rb 2.2289 2.1084 6.6879
Rb 4.9910 0.0634 7.5192
Rb 4.9910 4.1534 7.5192
Rb 1.9061 8.3701 10.0077
Rb 1.1788 8.3701 4.1654
Rb 3.9409 6.3251 4.9966
Rb 4.2637 4.1534 1.6769
Rb 5.3138 6.3251 10.8389
Rb 4.2637 0.0634 1.6769
P 1.3673 6.3251 7.1834
P 4.8025 2.1084 4.5012
P 1.7176 6.3251 1.3411
P 4.4522 2.1084 10.3435
```

For the total energy, the calculation gives -11.708 eV/atom. For the density, the calculation gives 3.84 g/cm³. The magnetization is 0.00 μB per formula unit.

[4]
The following is a DFT calculation (meta-GGA r2SCAN) of crystalline Lu2TeO6 at its relaxed geometry.

extended XYZ file:
```
36
Lattice="5.1349 0.0000 0.0000 0.0000 8.8833 0.0000 0.0000 0.0000 9.7405" Properties=species:S:1:pos:R:3 pbc="T T T"
O 1.2260 3.4054 4.1758
O 3.8063 5.1919 9.7132
O 2.0798 3.0422 9.4468
O 3.0551 7.4838 5.1640
O 0.9842 7.6083 2.5665
O 1.3415 5.4778 9.0460
O 3.8960 3.6913 4.8430
O 0.9039 7.6249 6.6222
O 4.1506 3.1666 2.3037
O 3.4462 8.4447 7.8411
O 3.4714 5.7000 3.1183
O 1.5832 1.2750 7.4368
O 3.5517 5.7166 7.1740
O 1.2388 8.1330 0.0273
O 0.4877 5.8411 4.5765
O 1.3286 0.7503 4.8975
O 4.2309 3.1832 7.9885
O 3.7934 1.0362 5.5647
O 1.6886 4.0031 6.7697
O 0.8788 4.8802 1.8994
O 1.6635 1.2584 1.7520
O 4.6472 1.3995 0.2937
O 3.9089 7.8471 0.6945
O 4.2561 0.4386 2.9708
Lu 0.2076 2.5151 6.1749
Lu 4.9272 6.9567 8.4359
Lu 2.6456 0.9263 9.3807
Lu 2.3598 6.3682 1.3046
Lu 5.0567 7.9570 4.5104
Lu 0.0782 3.5154 0.3598
Lu 2.4893 5.3679 5.2301
Lu 2.7751 1.9265 3.5656
Te 4.9495 4.4871 3.4092
Te 2.7529 4.3961 8.2794
Te 0.1854 0.0455 1.4611
Te 2.3820 8.8378 6.3314
```

Its energy above the most stable polymorph in this dataset is 7.5 meV/atom. For the density, the calculation gives 8.57 g/cm³. The magnetization is 0.00 μB per formula unit.

[5]
The following is a DFT calculation (meta-GGA r2SCAN) of crystalline ErGa5Co at its relaxed geometry.

extended XYZ file:
```
7
Lattice="-1.8407 2.9977 -2.2138 -2.8263 -2.7323 -1.3499 -3.9267 1.4673 5.2517" Properties=species:S:1:pos:R:3 pbc="T T T"
Ga -2.6309 -0.9111 0.9537
Ga -3.6293 2.5111 2.5161
Ga -2.1381 1.9539 0.5217
Ga -4.1221 -0.3539 2.9481
Ga -2.3335 0.1327 -1.7818
Er 0.0000 0.0000 0.0000
Co -1.9633 0.7336 2.6258
```

For the total energy, the calculation gives -15.371 eV/atom. For the density, the calculation gives 8.22 g/cm³. The magnetization is 0.00 μB per formula unit.

[6]
The following is a DFT calculation (meta-GGA r2SCAN) of crystalline Ba2Ni3N2 at its relaxed geometry.

extended XYZ file:
```
14
Lattice="-3.5265 -5.2233 0.0000 -3.5265 5.2233 0.0000 0.0000 0.0000 -7.4325" Properties=species:S:1:pos:R:3 pbc="T T T"
Ba -3.5374 3.4700 -0.6753
Ba -3.5374 -3.4700 -6.7572
Ba -3.5374 1.7532 -4.3916
Ba -3.5374 -1.7532 -3.0410
N -3.5003 0.7726 -1.6546
N -3.5003 -4.4507 -2.0616
N -3.5003 -0.7726 -5.7779
N -3.5003 4.4507 -5.3709
Ni -3.7247 0.0000 0.0000
Ni -0.1982 0.0000 -3.7163
Ni -1.7519 0.7990 -1.9161
Ni -5.2784 0.7990 -1.8002
Ni -5.2784 -0.7990 -5.6323
Ni -1.7519 -0.7990 -5.5165
```

For the total energy, the calculation gives -15.769 eV/atom. For the density, the calculation gives 5.81 g/cm³. The magnetization is 0.00 μB per formula unit.

[7]
The following is a DFT calculation (meta-GGA r2SCAN) of crystalline NdLuS3 at its relaxed geometry.

extended XYZ file:
```
10
Lattice="-4.1768 3.7113 3.4344 0.6486 -4.3384 -4.8757 -1.2498 -7.0935 6.1454" Properties=species:S:1:pos:R:3 pbc="T T T"
Lu 0.0000 0.0000 0.0000
Lu -0.6249 -3.5467 3.0727
S -3.1489 -3.1678 3.9110
S -3.6172 -5.8254 6.2134
S -1.6291 -4.5527 0.7931
S -1.1608 -1.8951 -1.5093
S -0.0788 -5.4195 -2.6247
S -4.6993 -2.3010 7.3288
Nd -1.5097 -7.6218 1.8359
Nd -3.2684 -0.0987 2.8682
```

For the total energy, the calculation gives -20.714 eV/atom. For the density, the calculation gives 6.02 g/cm³. The magnetization is 0.00 μB per formula unit.

[8]
The following is a DFT calculation (meta-GGA r2SCAN) of crystalline GdSi2Rh2 at its relaxed geometry.

extended XYZ file:
```
5
Lattice="-2.0271 2.0271 5.0064 2.0271 -2.0271 5.0064 2.0271 2.0271 -5.0064" Properties=species:S:1:pos:R:3 pbc="T T T"
Rh 2.0271 0.0000 2.5032
Rh 0.0000 2.0271 2.5032
Si 0.0000 0.0000 6.2393
Si 0.0000 0.0000 3.7735
Gd 0.0000 0.0000 0.0000
```

For the total energy, the calculation gives -23.006 eV/atom. For the density, the calculation gives 8.46 g/cm³. The magnetization is 7.25 μB per formula unit.

[9]
The following is a DFT calculation (meta-GGA r2SCAN) of crystalline Ho2TlHg at its relaxed geometry.

extended XYZ file:
```
4
Lattice="-1.1912 -4.0660 3.0936 -4.3910 0.0852 2.8694 -4.0049 -3.1539 -1.2392" Properties=species:S:1:pos:R:3 pbc="T T T"
Hg -4.7935 -3.5674 2.3619
Tl 0.0000 0.0000 0.0000
Ho -2.3968 -1.7837 1.1810
Ho -7.1903 -5.3511 3.5429
```

For the total energy, the calculation gives -42.581 eV/atom. For the density, the calculation gives 11.95 g/cm³. The magnetization is 0.65 μB per formula unit.

[10]
The following is a DFT calculation (meta-GGA r2SCAN) of crystalline Sr3Yb at its relaxed geometry.

extended XYZ file:
```
8
Lattice="-8.0760 0.7077 1.0219 3.4610 -7.3994 -0.1919 0.8437 0.2258 6.5110" Properties=species:S:1:pos:R:3 pbc="T T T"
Yb 0.2481 -4.5277 5.0960
Yb -4.0194 -1.9382 2.2451
Sr 0.0119 -2.3735 1.7378
Sr -1.5557 -0.8626 5.2026
Sr -5.4538 -0.5210 5.6959
Sr -2.2156 -5.6034 2.1384
Sr 1.6824 -5.9450 1.6452
Sr -3.7833 -4.0925 5.6033
```

Its energy above the most stable polymorph in this dataset is 0.0 meV/atom. For the density, the calculation gives 3.81 g/cm³. The magnetization is 0.89 μB per formula unit.

[11]
The following is a DFT calculation (meta-GGA r2SCAN) of crystalline EuAg2Pb at its relaxed geometry.

extended XYZ file:
```
4
Lattice="-2.8360 0.4221 4.2470 -1.0277 4.6280 1.9452 -4.7532 1.8953 -0.2710" Properties=species:S:1:pos:R:3 pbc="T T T"
Ag -6.4626 5.2090 4.4409
Ag -2.1542 1.7363 1.4803
Pb 0.0000 0.0000 0.0000
Eu -4.3084 3.4727 2.9606
```

For the total energy, the calculation gives -34.679 eV/atom. For the density, the calculation gives 10.03 g/cm³. The magnetization is 7.00 μB per formula unit.

[12]
The following is a DFT calculation (meta-GGA r2SCAN) of crystalline Nb3NiSe6 at its relaxed geometry.

extended XYZ file:
```
20
Lattice="3.0324 -5.2522 0.0000 3.0324 5.2522 0.0000 0.0000 0.0000 12.5941" Properties=species:S:1:pos:R:3 pbc="T T T"
Se 2.0336 -3.5035 4.6341
Se 4.0509 -0.0096 1.6631
Se 2.0138 -0.0094 4.6341
Se 1.0152 -1.7393 1.6631
Se 4.0311 -3.5034 1.6631
Se 5.0497 -1.7393 4.6341
Se 2.0340 3.5033 7.9605
Se 5.0493 1.7391 7.9605
Se 4.0510 0.0097 10.9303
Se 2.0138 0.0099 7.9605
Se 1.0152 1.7391 10.9303
Se 4.0308 3.5034 10.9303
Nb 3.0324 1.7507 12.5819
Nb 3.0324 -1.7507 6.2853
Nb 0.0000 0.0000 12.5937
Nb 3.0324 1.7507 6.3092
Nb 3.0324 -1.7508 0.0117
Nb 0.0000 0.0000 6.2975
Ni 3.0324 1.7507 3.1486
Ni 3.0324 -1.7508 9.4456
```

For the total energy, the calculation gives -18.105 eV/atom. For the density, the calculation gives 6.72 g/cm³. The magnetization is 1.57 μB per formula unit.

[13]
The following is a DFT calculation (meta-GGA r2SCAN) of crystalline Er2BPd6 at its relaxed geometry.

extended XYZ file:
```
9
Lattice="4.2519 0.0000 0.0000 0.0000 4.2519 0.0000 0.0000 0.0000 7.9814" Properties=species:S:1:pos:R:3 pbc="T T T"
Pd 2.1260 2.1260 7.8895
Pd 0.0000 2.1260 1.9953
Pd 0.0000 2.1260 5.9860
Pd 2.1260 0.0000 5.9860
Pd 2.1260 0.0000 1.9953
Pd 2.1260 2.1260 4.0825
B 2.1260 2.1260 1.9953
Er 0.0000 0.0000 4.0690
Er 0.0000 0.0000 7.9031
```

For the total energy, the calculation gives -24.504 eV/atom. For the density, the calculation gives 11.32 g/cm³. The magnetization is 0.00 μB per formula unit.

[14]
The following is a DFT calculation (meta-GGA r2SCAN) of crystalline Mo3Pd2N at its relaxed geometry.

extended XYZ file:
```
24
Lattice="6.8305 0.0000 0.0000 0.0000 6.8305 0.0000 0.0000 0.0000 6.8305" Properties=species:S:1:pos:R:3 pbc="T T T"
Pd 3.8292 3.8292 3.8292
Pd 4.7090 2.1215 5.5368
Pd 6.4166 3.0013 0.4139
Pd 5.5368 4.7090 2.1215
Pd 2.1215 5.5368 4.7090
Pd 1.2937 1.2937 1.2937
Pd 0.4139 6.4166 3.0013
Pd 3.0013 0.4139 6.4166
Mo 5.4475 0.3246 0.8538
Mo 3.7399 2.5614 1.3830
Mo 5.9767 2.0322 3.0906
Mo 2.5614 1.3830 3.7399
Mo 4.2691 4.7983 6.5059
Mo 2.0322 3.0906 5.9767
Mo 1.3830 3.7399 2.5614
Mo 6.5059 4.2691 4.7983
Mo 3.0906 5.9767 2.0322
Mo 0.3246 0.8538 5.4475
Mo 4.7983 6.5059 4.2691
Mo 0.8538 5.4475 0.3246
N 0.8538 2.5614 4.2691
N 2.5614 4.2691 0.8538
N 4.2691 0.8538 2.5614
N 5.9767 5.9767 5.9767
```

For the total energy, the calculation gives -22.458 eV/atom. For the density, the calculation gives 10.73 g/cm³. The magnetization is 0.00 μB per formula unit.

[15]
The following is a DFT calculation (meta-GGA r2SCAN) of crystalline La2C3 at its relaxed geometry.

extended XYZ file:
```
20
Lattice="-6.8847 0.2643 3.3104 4.6889 -4.3229 4.2136 2.8454 7.0746 -0.5304" Properties=species:S:1:pos:R:3 pbc="T T T"
La 5.6222 -0.3344 3.5086
La -2.3167 2.9310 1.4453
La 3.2777 1.8271 1.4018
La -3.8216 -1.9247 5.0716
La -0.3793 -2.0569 3.4165
La -0.8940 6.4683 1.1801
La 0.3926 1.8228 4.2268
La 0.0678 0.3148 0.7300
C -1.2691 -2.9060 5.8276
C 0.0664 3.9895 2.1714
C 2.8405 0.2233 3.5379
C 4.8434 3.5306 3.3180
C -3.4684 4.6930 3.5888
C -1.6689 0.6166 2.9532
C -0.1410 -2.4940 6.3791
C 5.4483 2.4317 2.9017
C 1.7123 -0.1888 2.9864
C -1.9977 0.0089 4.0798
C 0.6713 2.8906 1.7551
C -3.1396 5.3007 2.4622
```

For the total energy, the calculation gives -18.179 eV/atom. For the density, the calculation gives 6.06 g/cm³. The magnetization is 0.00 μB per formula unit.

[16]
The following is a DFT calculation (meta-GGA r2SCAN) of crystalline Ba4Pt3O9 at its relaxed geometry.

extended XYZ file:
```
48
Lattice="4.9040 6.6302 2.6251 7.3700 -3.0417 -6.2364 -7.0460 6.5683 -3.3426" Properties=species:S:1:pos:R:3 pbc="T T T"
O -0.1073 2.1813 -0.0456
O 6.4452 2.5771 -3.4103
O 7.1506 7.0263 -4.2208
O -1.3055 6.6922 -2.2917
O 4.1231 8.0102 -5.9174
O -3.4955 8.8901 -1.5954
O -0.9638 2.7840 -3.5672
O -3.1150 4.2717 -3.2574
O 0.8453 5.2531 -2.6002
O 2.5097 7.7969 -3.1757
O 0.1450 7.0398 -4.6940
O 2.9709 6.3573 1.6415
O -5.0009 7.2897 -3.7960
O 2.5446 3.8248 -0.1985
O 3.8451 1.2824 -3.1794
O 5.1451 4.9580 1.1462
O 2.6770 2.8733 -4.9998
O 1.2365 7.8108 -0.8060
O 8.7712 0.7208 -4.0622
O 4.3411 4.3593 -2.7881
O 1.3435 4.4468 -7.3080
O 8.6388 5.5266 -2.2654
O 0.3513 9.2957 -2.9066
O 6.0990 6.8173 -1.8347
O 4.8953 1.4738 -5.6075
O 5.3758 4.5008 -5.1777
O -1.9987 4.0380 -5.9070
Pt -1.1245 4.7456 -2.9221
Pt 4.6470 2.9157 -4.1675
Pt -3.7591 10.9181 -1.6175
Pt 2.1764 9.3823 -1.9345
Pt 0.5801 7.2447 -2.7745
Pt 4.9629 6.8755 1.8847
Pt 3.0520 0.7821 -5.0210
Pt -5.3542 8.7891 -2.4525
Pt 5.7395 5.6718 -3.5146
Ba 3.5836 6.2238 -1.0881
Ba 9.7176 5.9104 -4.7412
Ba 3.6521 3.0955 -7.6309
Ba 5.0422 2.2551 -0.8961
Ba 6.2131 -0.3708 -3.6204
Ba 1.4920 2.6979 -2.4797
Ba 7.4393 2.4503 -5.9902
Ba 0.1427 2.3687 -6.2878
Ba -1.0592 9.4817 -0.4559
Ba 1.6821 9.4020 -5.5269
Ba 7.6256 5.5107 0.2966
Ba 2.6141 5.7403 -5.1018
```

Its energy above the most stable polymorph in this dataset is 2.1 meV/atom. For the density, the calculation gives 8.21 g/cm³. The magnetization is 0.00 μB per formula unit.

[17]
The following is a DFT calculation (meta-GGA r2SCAN) of crystalline MnCrF5 at its relaxed geometry.

extended XYZ file:
```
14
Lattice="3.1357 4.3033 -0.0054 -3.1357 4.3033 -0.0054 0.0000 3.1621 6.6384" Properties=species:S:1:pos:R:3 pbc="T T T"
F 0.2052 6.9320 0.8459
F 0.2052 3.2557 2.4625
F 1.2545 7.1987 6.4002
F 1.2545 6.1511 3.5465
F -1.2545 4.5701 0.2273
F -1.2545 5.6176 3.0810
F -2.5467 6.6749 4.9733
F -0.2052 8.5130 4.1650
F -0.2052 4.8368 5.7816
F 2.5467 5.0938 1.6542
Cr 0.0000 1.5811 3.3192
Cr 0.0000 0.0000 0.0000
Mn -0.2427 6.6749 4.9733
Mn 0.2427 5.0938 1.6542
```

For the total energy, the calculation gives -9.473 eV/atom. For the density, the calculation gives 3.74 g/cm³. The magnetization is 8.00 μB per formula unit.